Record 1
Dy2MgCr2O8 | GGA+U | optimized geometry

```
data_Dy2MgCr2O8
_chemical_formula_sum 'Dy2 Mg1 Cr2 O8'
_cell_length_a 6.0635
_cell_length_b 6.0635
_cell_length_c 6.1975
_cell_angle_alpha 105.68
_cell_angle_beta 105.67
_cell_angle_gamma 116.50
_space_group_name_H-M_alt 'P 1'
_space_group_IT_number 1
loop_
_space_group_symop_operation_xyz
'x,y,z'
loop_
_atom_site_label
_atom_site_type_symbol
_atom_site_fract_x
_atom_site_fract_y
_atom_site_fract_z
Dy1 Dy 0.4041 0.5960 0.7500
Dy2 Dy 0.6248 0.3752 0.2500
Mg1 Mg 0.1154 0.8846 0.7500
Cr1 Cr 0.8506 0.1495 0.7500
Cr2 Cr 0.1267 0.8731 0.2500
O1 O 0.3140 0.2396 0.4247
O2 O 0.8848 0.3493 0.5848
O3 O 0.2213 0.2723 0.9082
O4 O 0.2979 0.8638 0.0524
O5 O 0.1362 0.7021 0.4477
O6 O 0.7278 0.7787 0.5918
O7 O 0.7603 0.6860 0.0753
O8 O 0.6508 0.1153 0.9152
```

Results
DFT total energy = -7.476 eV per atom
Crystal system = monoclinic
SG = No. 5
Magnetization = 4.0 μB per formula unit


Record 2
TiV2Fe3P6O24 | GGA+U | optimized geometry

```
data_TiV2Fe3P6O24
_chemical_formula_sum 'Ti1 V2 Fe3 P6 O24'
_cell_length_a 8.5176
_cell_length_b 8.5176
_cell_length_c 8.5176
_cell_angle_alpha 61.11
_cell_angle_beta 61.11
_cell_angle_gamma 61.11
_space_group_name_H-M_alt 'P 1'
_space_group_IT_number 1
loop_
_space_group_symop_operation_xyz
'x,y,z'
loop_
_atom_site_label
_atom_site_type_symbol
_atom_site_fract_x
_atom_site_fract_y
_atom_site_fract_z
Ti1 Ti 0.8543 0.8543 0.8543
V1 V 0.0007 0.0007 0.0007
V2 V 0.5008 0.5008 0.5008
Fe1 Fe 0.3542 0.3542 0.3542
Fe2 Fe 0.1464 0.1464 0.1464
Fe3 Fe 0.6454 0.6454 0.6454
P1 P 0.7494 0.0462 0.4527
P2 P 0.0462 0.4527 0.7494
P3 P 0.4527 0.7494 0.0462
P4 P 0.5459 0.2501 0.9534
P5 P 0.9534 0.5459 0.2501
P6 P 0.2501 0.9534 0.5459
O1 O 0.8928 0.4964 0.6770
O2 O 0.4964 0.6770 0.8928
O3 O 0.6770 0.8928 0.4964
O4 O 0.9074 0.0615 0.2562
O5 O 0.8216 0.9927 0.6150
O6 O 0.5935 0.2445 0.4452
O7 O 0.0615 0.2562 0.9074
O8 O 0.2445 0.4452 0.5935
O9 O 0.3927 0.1777 0.9960
O10 O 0.4452 0.5935 0.2445
O11 O 0.7465 0.0904 0.9359
O12 O 0.9960 0.3927 0.1777
O13 O 0.9927 0.6150 0.8216
O14 O 0.2562 0.9074 0.0615
O15 O 0.5626 0.4067 0.7539
O16 O 0.6150 0.8216 0.9927
O17 O 0.7539 0.5626 0.4067
O18 O 0.9359 0.7465 0.0904
O19 O 0.4067 0.7539 0.5626
O20 O 0.1777 0.9960 0.3927
O21 O 0.0904 0.9359 0.7465
O22 O 0.3171 0.1094 0.5078
O23 O 0.5078 0.3171 0.1094
O24 O 0.1094 0.5078 0.3171
```

Results
DFT total energy = -7.441 eV per atom
Crystal system = trigonal
SG = No. 146
Magnetization = 20.0 μB per formula unit


Record 3
Nd5Mo32O54 | GGA+U | optimized geometry

```
data_Nd5Mo32O54
_chemical_formula_sum 'Nd10 Mo64 O108'
_cell_length_a 9.3995
_cell_length_b 11.1668
_cell_length_c 24.8472
_cell_angle_alpha 100.48
_cell_angle_beta 90.00
_cell_angle_gamma 90.00
_space_group_name_H-M_alt 'P 1'
_space_group_IT_number 1
loop_
_space_group_symop_operation_xyz
'x,y,z'
loop_
_atom_site_label
_atom_site_type_symbol
_atom_site_fract_x
_atom_site_fract_y
_atom_site_fract_z
Nd1 Nd 0.5119 0.8630 0.4037
Nd2 Nd 0.9557 0.9798 0.1840
Nd3 Nd 0.4557 0.5202 0.3160
Nd4 Nd 0.9881 0.3630 0.9037
Nd5 Nd 0.5443 0.4798 0.6840
Nd6 Nd 0.4881 0.1370 0.5963
Nd7 Nd 0.0443 0.0202 0.8160
Nd8 Nd 0.5000 0.0000 0.0000
Nd9 Nd 0.0119 0.6370 0.0963
Nd10 Nd 0.0000 0.5000 0.5000
Mo1 Mo 0.8615 0.5355 0.2019
Mo2 Mo 0.1349 0.2311 0.3235
Mo3 Mo 0.6233 0.9826 0.1412
Mo4 Mo 0.3607 0.6520 0.4791
Mo5 Mo 0.1380 0.3955 0.2306
Mo6 Mo 0.1475 0.6285 0.6997
Mo7 Mo 0.1233 0.5174 0.3588
Mo8 Mo 0.6458 0.6964 0.1139
Mo9 Mo 0.8767 0.4826 0.6412
Mo10 Mo 0.3773 0.7800 0.6069
Mo11 Mo 0.6530 0.1616 0.8281
Mo12 Mo 0.3472 0.3651 0.4472
Mo13 Mo 0.8576 0.0123 0.9246
Mo14 Mo 0.1491 0.0860 0.4224
Mo15 Mo 0.8525 0.3715 0.3003
Mo16 Mo 0.6374 0.8143 0.2428
Mo17 Mo 0.8773 0.7200 0.8931
Mo18 Mo 0.8777 0.9604 0.3553
Mo19 Mo 0.3542 0.3036 0.8861
Mo20 Mo 0.1385 0.4645 0.7981
Mo21 Mo 0.6223 0.4604 0.8553
Mo22 Mo 0.3509 0.5860 0.9224
Mo23 Mo 0.8651 0.7689 0.6765
Mo24 Mo 0.6349 0.2689 0.1765
Mo25 Mo 0.6479 0.5786 0.9855
Mo26 Mo 0.6227 0.2200 0.3931
Mo27 Mo 0.8620 0.6045 0.7694
Mo28 Mo 0.3777 0.5396 0.1447
Mo29 Mo 0.6393 0.3480 0.5209
Mo30 Mo 0.8607 0.8480 0.0209
Mo31 Mo 0.8626 0.3143 0.7428
Mo32 Mo 0.8521 0.0786 0.4855
Mo33 Mo 0.8630 0.7850 0.4555
Mo34 Mo 0.6528 0.6349 0.5528
Mo35 Mo 0.1424 0.9877 0.0754
Mo36 Mo 0.6424 0.5123 0.4246
Mo37 Mo 0.3615 0.9645 0.2981
Mo38 Mo 0.3470 0.8384 0.1719
Mo39 Mo 0.3521 0.4214 0.0145
Mo40 Mo 0.8542 0.1964 0.6139
Mo41 Mo 0.8509 0.9140 0.5776
Mo42 Mo 0.8470 0.6616 0.3281
Mo43 Mo 0.1479 0.9214 0.5145
Mo44 Mo 0.3651 0.7311 0.8235
Mo45 Mo 0.3630 0.7150 0.0445
Mo46 Mo 0.1227 0.2800 0.1069
Mo47 Mo 0.3620 0.8955 0.7306
Mo48 Mo 0.1528 0.8651 0.9472
Mo49 Mo 0.1393 0.1520 0.9791
Mo50 Mo 0.1223 0.0396 0.6447
Mo51 Mo 0.6370 0.2850 0.9555
Mo52 Mo 0.6385 0.0355 0.7019
Mo53 Mo 0.3576 0.4877 0.5754
Mo54 Mo 0.1458 0.8036 0.3861
Mo55 Mo 0.6491 0.4140 0.0776
Mo56 Mo 0.3525 0.1285 0.1997
Mo57 Mo 0.6380 0.1045 0.2694
Mo58 Mo 0.3767 0.0174 0.8588
Mo59 Mo 0.1374 0.6857 0.2572
Mo60 Mo 0.1370 0.2150 0.5445
Mo61 Mo 0.8472 0.1349 0.0528
Mo62 Mo 0.1530 0.3384 0.6719
Mo63 Mo 0.3626 0.1857 0.7572
Mo64 Mo 0.6475 0.8715 0.8003
O1 O 0.2535 0.9322 0.5903
O2 O 0.2501 0.1599 0.8328
O3 O 0.0041 0.2627 0.0377
O4 O 0.4950 0.3828 0.3821
O5 O 0.9994 0.6785 0.1888
O6 O 0.2481 0.8886 0.8058
O7 O 0.9756 0.9178 0.6504
O8 O 0.2849 0.9475 0.3760
O9 O 0.4989 0.1329 0.1343
O10 O 0.5133 0.2439 0.2422
O11 O 0.9959 0.7373 0.9623
O12 O 0.7335 0.6555 0.2555
O13 O 0.0011 0.6329 0.6343
O14 O 0.7593 0.7698 0.6065
O15 O 0.7481 0.6114 0.6942
O16 O 0.7499 0.8401 0.1672
O17 O 0.7791 0.6895 0.0433
O18 O 0.0006 0.3215 0.8112
O19 O 0.4842 0.9125 0.6590
O20 O 0.9991 0.8060 0.3184
O21 O 0.5050 0.6172 0.6179
O22 O 0.4994 0.8215 0.3112
O23 O 0.2569 0.6440 0.5552
O24 O 0.2407 0.2302 0.3935
O25 O 0.2850 0.4846 0.6568
O26 O 0.2465 0.4322 0.0903
O27 O 0.2150 0.9846 0.1568
O28 O 0.7925 0.4831 0.5614
O29 O 0.5011 0.8671 0.8657
O30 O 0.7488 0.3918 0.2268
O31 O 0.5244 0.4178 0.1504
O32 O 0.7538 0.8133 0.3796
O33 O 0.7784 0.9568 0.2796
O34 O 0.2462 0.1867 0.6204
O35 O 0.2538 0.6867 0.1204
O36 O 0.2784 0.5432 0.2204
O37 O 0.0050 0.8828 0.8821
O38 O 0.7216 0.4568 0.7796
O39 O 0.7462 0.3133 0.8796
O40 O 0.2128 0.3769 0.5204
O41 O 0.5041 0.2373 0.4623
O42 O 0.7569 0.8560 0.9448
O43 O 0.2872 0.8769 0.0204
O44 O 0.2512 0.6082 0.7732
O45 O 0.0009 0.1940 0.6816
O46 O 0.5006 0.1785 0.6888
O47 O 0.2209 0.3105 0.9567
O48 O 0.2151 0.4475 0.8760
O49 O 0.4916 0.7088 0.9750
O50 O 0.4867 0.7561 0.7578
O51 O 0.7209 0.1895 0.5433
O52 O 0.4991 0.6940 0.1816
O53 O 0.2479 0.2701 0.1733
O54 O 0.9950 0.1172 0.1179
O55 O 0.0050 0.1508 0.9056
O56 O 0.0080 0.3361 0.6025
O57 O 0.0133 0.2561 0.2578
O58 O 0.9867 0.7439 0.7422
O59 O 0.2791 0.8105 0.4567
O60 O 0.0158 0.4125 0.1590
O61 O 0.2216 0.0432 0.7204
O62 O 0.2499 0.6599 0.3328
O63 O 0.7665 0.1555 0.7555
O64 O 0.7151 0.0525 0.6240
O65 O 0.9916 0.7912 0.5250
O66 O 0.7849 0.5525 0.1240
O67 O 0.5050 0.3492 0.5944
O68 O 0.2335 0.8445 0.2445
O69 O 0.7391 0.9238 0.5023
O70 O 0.7150 0.5154 0.3432
O71 O 0.7521 0.7299 0.8267
O72 O 0.7407 0.2698 0.1065
O73 O 0.2593 0.7302 0.8935
O74 O 0.7535 0.5678 0.9097
O75 O 0.0244 0.0822 0.3496
O76 O 0.7519 0.1114 0.1942
O77 O 0.9950 0.8492 0.0944
O78 O 0.7479 0.2299 0.3267
O79 O 0.7465 0.0678 0.4097
O80 O 0.0084 0.2088 0.4750
O81 O 0.5084 0.2912 0.0250
O82 O 0.7850 0.0154 0.8432
O83 O 0.2609 0.0762 0.4977
O84 O 0.9989 0.3671 0.3657
O85 O 0.4756 0.5822 0.8496
O86 O 0.2488 0.1082 0.2732
O87 O 0.9920 0.6639 0.3975
O88 O 0.5158 0.0875 0.3410
O89 O 0.2925 0.0169 0.9386
O90 O 0.2075 0.5169 0.4386
O91 O 0.2431 0.1440 0.0552
O92 O 0.7609 0.4238 0.0023
O93 O 0.7501 0.3401 0.6672
O94 O 0.4959 0.7627 0.5377
O95 O 0.9842 0.5875 0.8410
O96 O 0.4920 0.8361 0.1025
O97 O 0.2391 0.5762 0.9977
O98 O 0.5009 0.3060 0.8184
O99 O 0.7431 0.3560 0.4448
O100 O 0.7512 0.8918 0.7268
O101 O 0.4950 0.6508 0.4056
O102 O 0.2665 0.3445 0.7445
O103 O 0.7128 0.1231 0.9796
O104 O 0.5080 0.1639 0.8975
O105 O 0.7075 0.9831 0.0614
O106 O 0.2519 0.3886 0.3058
O107 O 0.2521 0.7701 0.6733
O108 O 0.7872 0.6231 0.4796
```

Results
DFT total energy = -7.293 eV per atom
Crystal system = monoclinic
SG = No. 14
Magnetization = 89.0 μB per formula unit


Record 4
Na2CoP2O7 | GGA+U | optimized geometry

```
data_Na2CoP2O7
_chemical_formula_sum 'Na8 Co4 P8 O28'
_cell_length_a 7.8232
_cell_length_b 7.8232
_cell_length_c 10.4270
_cell_angle_alpha 90.00
_cell_angle_beta 90.00
_cell_angle_gamma 90.00
_space_group_name_H-M_alt 'P 1'
_space_group_IT_number 1
loop_
_space_group_symop_operation_xyz
'x,y,z'
loop_
_atom_site_label
_atom_site_type_symbol
_atom_site_fract_x
_atom_site_fract_y
_atom_site_fract_z
Na1 Na 0.1943 0.8057 0.5000
Na2 Na 0.6943 0.6943 0.0000
Na3 Na 0.3057 0.3057 0.0000
Na4 Na 0.8057 0.1943 0.5000
Na5 Na 0.1460 0.8540 0.0000
Na6 Na 0.6460 0.6460 0.5000
Na7 Na 0.3540 0.3540 0.5000
Na8 Na 0.8540 0.1460 0.0000
Co1 Co 0.0000 0.5000 0.7500
Co2 Co 0.0000 0.5000 0.2500
Co3 Co 0.5000 0.0000 0.7500
Co4 Co 0.5000 0.0000 0.2500
P1 P 0.6383 0.3617 0.7894
P2 P 0.3617 0.6383 0.7894
P3 P 0.3617 0.6383 0.2106
P4 P 0.8617 0.8617 0.2894
P5 P 0.1383 0.1383 0.2894
P6 P 0.8617 0.8617 0.7106
P7 P 0.1383 0.1383 0.7106
P8 P 0.6383 0.3617 0.2106
O1 O 0.5000 0.5000 0.8459
O2 O 0.0000 0.0000 0.3459
O3 O 0.0000 0.0000 0.6541
O4 O 0.5000 0.5000 0.1541
O5 O 0.1934 0.5805 0.1461
O6 O 0.8066 0.4195 0.1461
O7 O 0.5805 0.1934 0.8539
O8 O 0.0805 0.3066 0.6461
O9 O 0.9195 0.6934 0.6461
O10 O 0.3066 0.0805 0.3539
O11 O 0.6934 0.9195 0.3539
O12 O 0.4195 0.8066 0.8539
O13 O 0.8066 0.4195 0.8539
O14 O 0.1934 0.5805 0.8539
O15 O 0.4195 0.8066 0.1461
O16 O 0.9195 0.6934 0.3539
O17 O 0.0805 0.3066 0.3539
O18 O 0.6934 0.9195 0.6461
O19 O 0.3066 0.0805 0.6461
O20 O 0.5805 0.1934 0.1461
O21 O 0.6369 0.3631 0.3557
O22 O 0.1369 0.1369 0.8557
O23 O 0.8631 0.8631 0.8557
O24 O 0.1369 0.1369 0.1443
O25 O 0.8631 0.8631 0.1443
O26 O 0.3631 0.6369 0.3557
O27 O 0.3631 0.6369 0.6443
O28 O 0.6369 0.3631 0.6443
```

Results
Crystal system = tetragonal
Excess energy over the best structure of this formula in the dataset = 7 meV per atom
SG = No. 136
Magnetization = 3.0 μB per formula unit


Please write out number 2 again, unchanged.
TiV2Fe3P6O24 | GGA+U | optimized geometry

```
data_TiV2Fe3P6O24
_chemical_formula_sum 'Ti1 V2 Fe3 P6 O24'
_cell_length_a 8.5176
_cell_length_b 8.5176
_cell_length_c 8.5176
_cell_angle_alpha 61.11
_cell_angle_beta 61.11
_cell_angle_gamma 61.11
_space_group_name_H-M_alt 'P 1'
_space_group_IT_number 1
loop_
_space_group_symop_operation_xyz
'x,y,z'
loop_
_atom_site_label
_atom_site_type_symbol
_atom_site_fract_x
_atom_site_fract_y
_atom_site_fract_z
Ti1 Ti 0.8543 0.8543 0.8543
V1 V 0.0007 0.0007 0.0007
V2 V 0.5008 0.5008 0.5008
Fe1 Fe 0.3542 0.3542 0.3542
Fe2 Fe 0.1464 0.1464 0.1464
Fe3 Fe 0.6454 0.6454 0.6454
P1 P 0.7494 0.0462 0.4527
P2 P 0.0462 0.4527 0.7494
P3 P 0.4527 0.7494 0.0462
P4 P 0.5459 0.2501 0.9534
P5 P 0.9534 0.5459 0.2501
P6 P 0.2501 0.9534 0.5459
O1 O 0.8928 0.4964 0.6770
O2 O 0.4964 0.6770 0.8928
O3 O 0.6770 0.8928 0.4964
O4 O 0.9074 0.0615 0.2562
O5 O 0.8216 0.9927 0.6150
O6 O 0.5935 0.2445 0.4452
O7 O 0.0615 0.2562 0.9074
O8 O 0.2445 0.4452 0.5935
O9 O 0.3927 0.1777 0.9960
O10 O 0.4452 0.5935 0.2445
O11 O 0.7465 0.0904 0.9359
O12 O 0.9960 0.3927 0.1777
O13 O 0.9927 0.6150 0.8216
O14 O 0.2562 0.9074 0.0615
O15 O 0.5626 0.4067 0.7539
O16 O 0.6150 0.8216 0.9927
O17 O 0.7539 0.5626 0.4067
O18 O 0.9359 0.7465 0.0904
O19 O 0.4067 0.7539 0.5626
O20 O 0.1777 0.9960 0.3927
O21 O 0.0904 0.9359 0.7465
O22 O 0.3171 0.1094 0.5078
O23 O 0.5078 0.3171 0.1094
O24 O 0.1094 0.5078 0.3171
```

Results
DFT total energy = -7.441 eV per atom
Crystal system = trigonal
SG = No. 146
Magnetization = 20.0 μB per formula unit


Q: Number 2 is which compound?
A: TiV2Fe3P6O24


Q: What is the magnetization in the fourth record?
A: 3.0 μB per formula unit


Q: Among the records above, which one has the highest magnetization?
A: Nd5Mo32O54